Below is a relaxed structure of Tb2NiIr, with properties calculated at the PBE-GGA level.

POSCAR file:
```
Tb2NiIr
1.0
0.000 3.425 3.425
3.425 0.000 3.425
3.425 3.425 0.000
Tb Ni Ir
2 1 1
direct
0.250 0.250 0.250 Tb
0.750 0.750 0.750 Tb
0.000 0.000 0.000 Ni
0.500 0.500 0.500 Ir
```

- M_tot: 0.0 μB/cell

=====

Below is a relaxed structure of Tm2NiIr, with properties calculated at the PBE-GGA level.

POSCAR file:
```
Tm2NiIr
1.0
0.000 3.354 3.354
3.354 0.000 3.354
3.354 3.354 0.000
Tm Ni Ir
2 1 1
direct
0.250 0.250 0.250 Tm
0.750 0.750 0.750 Tm
0.000 0.000 0.000 Ni
0.500 0.500 0.500 Ir
```

=====

Below is a relaxed structure of NpIr2, with properties calculated at the PBE-GGA level.

POSCAR file:
```
NpIr2
1.0
0.000 3.740 3.740
3.740 0.000 3.740
3.740 3.740 0.000
Np Ir
2 4
direct
0.750 0.750 0.750 Np
0.500 0.500 0.500 Np
0.125 0.625 0.125 Ir
0.125 0.125 0.625 Ir
0.625 0.125 0.125 Ir
0.125 0.125 0.125 Ir
```

=====

| no. | DFT total energy (eV per cell) | ΔE_f (meV per atom) | density (g/cm³) |
| --- | --- | --- | --- |
| 1 | -26.4 | -628 | 11.8 |
| 2 | -26.5 | -737 | 13.0 |
| 3 | -63.9 | -444 | 19.7 |